No. 1
Density functional theory data (PBE-GGA) for Tm2Nb2O7 after structural relaxation.

Lattice parameters (Å, degrees): 7.265 7.265 7.265 60.00 60.00 60.00
Element x y z (fractional)
Tm1 0.000 0.000 0.000
Tm2 0.000 0.000 0.500
Tm3 0.000 0.500 0.000
Tm4 0.500 0.000 0.000
Nb1 0.000 0.500 0.500
Nb2 0.500 0.000 0.500
Nb3 0.500 0.500 0.000
Nb4 0.500 0.500 0.500
O1 0.125 0.125 0.125
O2 0.152 0.152 0.598
O3 0.152 0.598 0.152
O4 0.152 0.598 0.598
O5 0.402 0.402 0.848
O6 0.402 0.848 0.402
O7 0.402 0.848 0.848
O8 0.598 0.152 0.152
O9 0.598 0.152 0.598
O10 0.598 0.598 0.152
O11 0.848 0.402 0.402
O12 0.848 0.402 0.848
O13 0.848 0.848 0.402
O14 0.875 0.875 0.875

Symmetry: Fd-3m
M_tot, μB per formula unit: 0.0
Energy relative to the elements, eV/f.u.: -37.51

No. 2
Density functional theory data (PBE-GGA) for Ho11Ge10 after structural relaxation.

Lattice parameters (Å, degrees): 11.263 11.263 11.263 122.07 122.07 86.46
Element x y z (fractional)
Ho1 0.058 0.310 0.748
Ho2 0.103 0.427 0.324
Ho3 0.103 0.779 0.676
Ho4 0.160 0.160 0.000
Ho5 0.221 0.897 0.324
Ho6 0.310 0.058 0.748
Ho7 0.310 0.562 0.252
Ho8 0.322 0.322 0.645
Ho9 0.322 0.678 0.000
Ho10 0.427 0.103 0.324
Ho11 0.438 0.690 0.748
Ho12 0.562 0.310 0.252
Ho13 0.573 0.897 0.676
Ho14 0.678 0.322 0.000
Ho15 0.678 0.678 0.355
Ho16 0.690 0.438 0.748
Ho17 0.690 0.942 0.252
Ho18 0.779 0.103 0.676
Ho19 0.840 0.840 0.000
Ho20 0.897 0.221 0.324
Ho21 0.897 0.573 0.676
Ho22 0.942 0.690 0.252
Ge1 0.029 0.029 0.420
Ge2 0.029 0.609 0.000
Ge3 0.120 0.120 0.240
Ge4 0.120 0.880 0.000
Ge5 0.139 0.500 0.639
Ge6 0.250 0.750 0.500
Ge7 0.387 0.387 0.000
Ge8 0.391 0.391 0.420
Ge9 0.391 0.971 0.000
Ge10 0.500 0.139 0.639
Ge11 0.500 0.861 0.361
Ge12 0.609 0.029 0.000
Ge13 0.609 0.609 0.580
Ge14 0.613 0.613 0.000
Ge15 0.750 0.250 0.500
Ge16 0.861 0.500 0.361
Ge17 0.880 0.120 0.000
Ge18 0.880 0.880 0.760
Ge19 0.971 0.391 0.000
Ge20 0.971 0.971 0.580

Symmetry: I4/mmm
Energy relative to the elements, eV/f.u.: -17.74

No. 3
Density functional theory data (PBE-GGA) for CeO3 after structural relaxation.

Lattice parameters (Å, degrees): 6.065 6.065 3.641 90.00 90.00 120.00
Element x y z (fractional)
Ce1 0.333 0.667 0.250
Ce2 0.667 0.333 0.750
O1 0.087 0.410 0.750
O2 0.324 0.913 0.750
O3 0.410 0.324 0.250
O4 0.590 0.676 0.750
O5 0.676 0.087 0.250
O6 0.913 0.590 0.250

Symmetry: P6_3/m
M_tot, μB per formula unit: 2.0
Energy relative to the elements, eV/f.u.: -9.74

No. 4
Density functional theory data (PBE-GGA) for In2Hg3Te6 after structural relaxation.

Lattice parameters (Å, degrees): 4.612 4.612 50.379 91.68 91.68 60.00
Element x y z (fractional)
In1 0.000 0.000 0.000
In2 0.006 0.006 0.735
In3 0.338 0.338 0.908
In4 0.678 0.678 0.820
Hg1 0.004 0.004 0.239
Hg2 0.337 0.337 0.159
Hg3 0.337 0.337 0.648
Hg4 0.338 0.338 0.407
Hg5 0.670 0.670 0.080
Hg6 0.670 0.670 0.569
Te1 0.003 0.003 0.792
Te2 0.005 0.005 0.293
Te3 0.326 0.326 0.976
Te4 0.334 0.334 0.214
Te5 0.334 0.334 0.710
Te6 0.335 0.335 0.462
Te7 0.661 0.661 0.879
Te8 0.665 0.665 0.386
Te9 0.666 0.666 0.135
Te10 0.667 0.667 0.631
Te11 0.998 0.998 0.056
Te12 0.999 0.999 0.551

Symmetry: Cm
Polymorph energy (0 for the lowest one), meV per atom: 247.1
M_tot, μB per formula unit: 1.2
Energy relative to the elements, eV/f.u.: -2.48

No. 5
Density functional theory data (PBE-GGA) for EuBr3 after structural relaxation.

Lattice parameters (Å, degrees): 6.668 6.668 5.687 90.00 90.00 120.00
Element x y z (fractional)
Eu1 0.333 0.667 0.250
Eu2 0.667 0.333 0.750
Br1 0.173 0.346 0.750
Br2 0.173 0.827 0.750
Br3 0.346 0.173 0.250
Br4 0.654 0.827 0.750
Br5 0.827 0.173 0.250
Br6 0.827 0.654 0.250

Symmetry: P6_3/mmc
M_tot, μB per formula unit: 6.0
Energy relative to the elements, eV/f.u.: -6.74

No. 6
Density functional theory data (PBE-GGA) for Mg5TaB3O12 after structural relaxation.

Lattice parameters (Å, degrees): 9.453 9.530 9.405 90.00 90.00 90.00
Element x y z (fractional)
Mg1 0.098 0.076 0.180
Mg2 0.098 0.424 0.180
Mg3 0.102 0.750 0.191
Mg4 0.124 0.085 0.573
Mg5 0.124 0.415 0.573
Mg6 0.376 0.585 0.073
Mg7 0.376 0.915 0.073
Mg8 0.398 0.250 0.691
Mg9 0.402 0.576 0.680
Mg10 0.402 0.924 0.680
Mg11 0.598 0.076 0.320
Mg12 0.598 0.424 0.320
Mg13 0.602 0.750 0.309
Mg14 0.624 0.085 0.927
Mg15 0.624 0.415 0.927
Mg16 0.876 0.585 0.427
Mg17 0.876 0.915 0.427
Mg18 0.898 0.250 0.809
Mg19 0.902 0.576 0.820
Mg20 0.902 0.924 0.820
Ta1 0.101 0.750 0.586
Ta2 0.399 0.250 0.086
Ta3 0.601 0.750 0.914
Ta4 0.899 0.250 0.414
B1 0.173 0.089 0.873
B2 0.173 0.411 0.873
B3 0.178 0.750 0.871
B4 0.322 0.250 0.371
B5 0.327 0.589 0.373
B6 0.327 0.911 0.373
B7 0.673 0.089 0.627
B8 0.673 0.411 0.627
B9 0.678 0.750 0.629
B10 0.822 0.250 0.129
B11 0.827 0.589 0.127
B12 0.827 0.911 0.127
O1 0.008 0.085 0.381
O2 0.008 0.415 0.381
O3 0.021 0.750 0.395
O4 0.029 0.088 0.871
O5 0.029 0.412 0.871
O6 0.036 0.750 0.840
O7 0.237 0.750 0.003
O8 0.239 0.250 0.245
O9 0.242 0.094 0.007
O10 0.242 0.406 0.007
O11 0.248 0.583 0.249
O12 0.248 0.917 0.249
O13 0.252 0.083 0.749
O14 0.252 0.417 0.749
O15 0.258 0.594 0.507
O16 0.258 0.906 0.507
O17 0.261 0.750 0.745
O18 0.263 0.250 0.503
O19 0.464 0.250 0.340
O20 0.471 0.588 0.371
O21 0.471 0.912 0.371
O22 0.479 0.250 0.895
O23 0.492 0.585 0.881
O24 0.492 0.915 0.881
O25 0.508 0.085 0.119
O26 0.508 0.415 0.119
O27 0.521 0.750 0.105
O28 0.529 0.088 0.629
O29 0.529 0.412 0.629
O30 0.536 0.750 0.660
O31 0.737 0.750 0.497
O32 0.739 0.250 0.255
O33 0.742 0.094 0.493
O34 0.742 0.406 0.493
O35 0.748 0.583 0.251
O36 0.748 0.917 0.251
O37 0.752 0.083 0.751
O38 0.752 0.417 0.751
O39 0.758 0.594 0.993
O40 0.758 0.906 0.993
O41 0.761 0.750 0.755
O42 0.763 0.250 0.997
O43 0.964 0.250 0.160
O44 0.971 0.588 0.129
O45 0.971 0.912 0.129
O46 0.979 0.250 0.605
O47 0.992 0.585 0.619
O48 0.992 0.915 0.619

Symmetry: Pnma
M_tot, μB per formula unit: 0.0
Energy relative to the elements, eV/f.u.: -65.26